<w>
{"formula": "MgTe2Mo2WS4", "functional": "PBE-GGA", "state": "optimized geometry", "m_tot_mub_per_fu": 0.01, "lattice_angstrom": [[3.2981, 0.0000, 0.0000], [-1.6491, 2.8561, -0.0001], [0.0000, -0.0012, 30.2529]], "species": ["Mg", "Te", "Te", "Mo", "Mo", "W", "S", "S", "S", "S"], "frac_coords": [[0.7624, 0.4574, 0.8321], [0.6666, 0.3333, 0.0524], [0.6667, 0.3334, 0.1789], [0.3333, 0.6666, 0.1156], [0.6667, 0.3335, 0.3471], [0.3333, 0.6665, 0.5783], [0.3334, 0.6668, 0.3976], [0.6666, 0.3332, 0.5276], [0.6666, 0.3333, 0.6290], [0.3334, 0.6667, 0.2965]]}

=====

<x>
{"formula": "MgTe2Mo2WS4", "functional": "PBE-GGA", "state": "optimized geometry", "m_tot_mub_per_fu": 0.02, "lattice_angstrom": [[3.3065, 0.0003, -0.0061], [-1.6530, 2.8629, 0.0001], [-0.0476, -0.0259, 35.9065]], "species": ["Mg", "Te", "Te", "Mo", "Mo", "W", "S", "S", "S", "S"], "frac_coords": [[0.3311, 0.6654, 0.4598], [0.6642, 0.3322, 0.0621], [0.6698, 0.3348, 0.1688], [0.3335, 0.6667, 0.1155], [0.6665, 0.3334, 0.3427], [0.3298, 0.6648, 0.5878], [0.3352, 0.6676, 0.3854], [0.6613, 0.3306, 0.5449], [0.6656, 0.3327, 0.6304], [0.3309, 0.6656, 0.3005]]}

=====

<y>
{"formula": "MgTe2Mo2WS4", "functional": "PBE-GGA", "state": "optimized geometry", "m_tot_mub_per_fu": 0.00, "lattice_angstrom": [[-3.0101, -1.2577, -0.4839], [1.7624, -0.9088, 2.6376], [-14.4530, 27.3281, 18.8728]], "species": ["Mg", "Te", "Te", "Mo", "Mo", "W", "S", "S", "S", "S"], "frac_coords": [[0.9988, 0.9975, 0.4537], [0.6649, 0.3297, 0.0621], [0.6680, 0.3359, 0.1679], [0.3332, 0.6664, 0.1150], [0.6675, 0.3350, 0.3418], [0.3331, 0.6662, 0.5867], [0.3358, 0.6716, 0.3850], [0.6650, 0.3300, 0.5441], [0.6676, 0.3351, 0.6290], [0.3328, 0.6656, 0.2999]]}

=====

Stability summary - winner: <x>; margin: 11 meV/atom.